Version i
Density functional theory data (PBE) for crystalline Sm2Ag2O5 at its relaxed geometry.

a b c (Å): 9.0921 9.0921 9.0921
angles (deg): 143.42 141.86 53.88
Closest atoms and distances in Å follow each position.
Fractional positions:
Sm: 0.8748 0.3998 0.5170  5 O 2.20-2.44
Sm: 0.6172 0.1422 0.5170  5 O 2.20-2.44
Sm: 0.3828 0.8998 0.5250  5 O 2.20-2.44
Sm: 0.1252 0.6422 0.5250  5 O 2.20-2.44
O: 0.5009 0.5398 0.7865  2 Ag 2.24-2.26, 2 Sm 2.28-2.35
O: 0.8380 0.1998 0.5378  2 Sm 2.20, 2 Ag 2.40-2.46
O: 0.2533 0.0398 0.0388  2 Ag 2.24-2.26, 2 Sm 2.28-2.35
O: 0.1904 0.2080 0.4865  2 Ag 2.17-2.20, 1 Sm 2.42
O: 0.2215 0.7080 0.0175  2 Ag 2.17-2.20, 1 Sm 2.42
O: 0.1620 0.6998 0.3618  2 Sm 2.20, 2 Ag 2.40-2.46
O: 0.7467 0.7856 0.7865  2 Ag 2.24-2.26, 2 Sm 2.28-2.35
O: 0.4991 0.2856 0.0388  2 Ag 2.24-2.26, 2 Sm 2.28-2.35
O: 0.8096 0.2960 0.0175  2 Ag 2.17-2.20, 1 Sm 2.42
O: 0.7785 0.7960 0.4865  2 Ag 2.17-2.20, 1 Sm 2.42
Ag: 0.2348 0.2756 0.0104  4 O 2.26-2.46
Ag: 0.5000 0.4892 0.9892  6 O 2.17-2.24
Ag: 0.0000 0.9892 0.9892  6 O 2.17-2.24
Ag: 0.7652 0.7756 0.0409  4 O 2.26-2.46



Version ii
Density functional theory data (PBE) for crystalline Sm2Ag2O5 at its relaxed geometry.

a b c (Å): 4.1525 4.1525 7.2114
angles (deg): 90.00 90.00 90.00
Closest atoms and distances in Å follow each position.
Fractional positions:
O: 0.0000 0.5000 0.2153  2 Ag 2.08
O: 0.5000 0.5000 0.5000  2 Ag 2.20
O: 0.5000 0.0000 0.7847  2 Ag 2.08
O: 0.0000 0.5000 0.7847  2 Ag 2.08
O: 0.5000 0.0000 0.2153  2 Ag 2.08
Ag: 0.5000 0.5000 0.1956  5 O 2.08-2.20
Ag: 0.5000 0.5000 0.8044  5 O 2.08-2.20
Sm: 0.0000 0.0000 0.0000  8 O 2.59
Sm: 0.0000 0.0000 0.5000  12 O 2.92-2.94



Relative calculated energies, zero for the most stable structure, unit eV/atom: version i 0.000; version ii 0.290.